Entry 1:
NaLa6OsI12 after structural relaxation, computed with PBE-GGA.

Total DFT energy (no corrections)   -4.392 eV per atom
Magnetic moment   3.00 μB/f.u.
E above lowest polymorph   0.000 eV/atom

a b c (Å): 16.3961 16.3961 11.2676
angles (deg): 90.00 90.00 120.00
Space group R-3 (No. 148, hexagonal axes)
Symmetry-distinct sites (fractional):
Na1 0.0000 0.0000 0.0000 x3
La1 0.0443 0.8836 0.3511 x18
Os1 0.0000 0.0000 0.5000 x3
I1 0.0220 0.4349 0.1624 x18
I2 0.0497 0.8710 0.8305 x18



Entry 2:
LaNdI4 after structural relaxation, computed with PBE-GGA.

Total DFT energy (no corrections)   -3.893 eV per atom
Magnetic moment   0.91 μB/f.u.

a b c (Å): 10.300 14.672 7.862
angles (deg): 90.00 130.07 90.00
Space group C2/c (No. 15)
Symmetry-distinct sites (fractional):
La1 0.000 0.011 0.250 x4
Nd1 0.000 0.370 0.250 x4
I1 0.128 0.185 0.595 x8
I2 0.187 0.440 0.756 x8